# 1
Sr5U5O18 after structural relaxation, computed with PBE-GGA.

The structure in POSCAR format:
```
Sr5U5O18
1.0
6.986 0.000 0.000
-2.329 7.444 0.000
-1.229 -2.095 8.436
O U Sr
18 5 5
Direct
0.550 0.000 0.316
0.858 0.353 0.416
0.173 0.218 0.532
0.010 0.228 0.183
0.490 0.384 0.347
0.990 0.772 0.817
0.335 0.054 0.012
0.142 0.647 0.584
0.335 0.604 0.928
0.510 0.616 0.653
0.026 0.176 0.855
0.450 0.000 0.684
0.244 0.606 0.280
0.756 0.394 0.720
0.665 0.396 0.072
0.827 0.782 0.468
0.974 0.824 0.145
0.665 0.946 0.988
0.378 0.803 0.804
0.207 0.419 0.412
0.000 0.000 0.000
0.793 0.581 0.588
0.622 0.197 0.196
0.403 0.306 0.807
0.801 0.103 0.585
0.597 0.694 0.193
0.199 0.897 0.415
0.000 0.500 0.000
```

Values from the calculation:
The calculation puts the MP2020-corrected energy at -258.36 eV/cell. The calculated total energy is -8.785 eV/atom. The formation energy comes out at -3.728 eV per atom. As for the space group: P-1, No. 2.

# 2
Sr4U2O9 after structural relaxation, computed with PBE-GGA.

The structure in POSCAR format:
```
Sr4U2O9
1.0
0.000 6.238 0.000
-0.002 0.000 8.667
18.166 0.000 -0.014
O U Sr
36 8 16
Direct
0.195 0.940 0.071
0.552 0.775 0.965
0.805 0.060 0.262
0.719 0.558 0.109
0.458 0.262 0.702
0.551 0.772 0.294
0.219 0.942 0.724
0.948 0.275 0.465
0.051 0.728 0.540
0.783 0.069 0.943
0.281 0.442 0.224
0.679 0.947 0.426
0.321 0.053 0.907
0.675 0.944 0.761
0.958 0.238 0.131
0.821 0.447 0.926
0.717 0.569 0.443
0.179 0.553 0.407
0.949 0.272 0.794
0.792 0.445 0.604
0.825 0.444 0.261
0.449 0.228 0.040
0.695 0.560 0.762
0.708 0.945 0.104
0.042 0.762 0.202
0.325 0.056 0.573
0.448 0.225 0.368
0.052 0.725 0.868
0.208 0.555 0.730
0.781 0.058 0.609
0.217 0.931 0.390
0.283 0.431 0.890
0.305 0.440 0.571
0.292 0.055 0.230
0.542 0.738 0.631
0.175 0.556 0.073
0.996 0.503 0.502
0.500 0.500 0.667
0.000 0.000 0.167
0.000 0.500 0.167
0.004 0.497 0.831
0.504 0.003 0.002
0.500 0.000 0.667
0.496 0.997 0.331
0.001 0.999 0.499
0.044 0.246 0.663
0.051 0.252 0.993
0.950 0.743 0.002
0.499 0.499 0.999
0.456 0.746 0.163
0.544 0.254 0.171
0.551 0.248 0.840
0.449 0.752 0.493
0.501 0.501 0.334
0.050 0.257 0.331
0.999 0.001 0.834
0.550 0.243 0.502
0.949 0.748 0.340
0.956 0.754 0.671
0.450 0.757 0.831
```

Values from the calculation:
The calculation puts the MP2020-corrected energy at -509.81 eV/cell. The calculated total energy is -8.085 eV/atom. The formation energy comes out at -3.572 eV per atom. As for the space group: P2_1/c, No. 14.